1.
KMg4Al9Si9O36 after structural relaxation. Source: Materials Project, functional GGA-PBE.

Computed properties:
- total energy after the MP2020 corrections (eV/atom) = -7.846
- E_form (eV/atom) = -3.300
- SG = P1

Unit cell a=9.5069 b=9.8587 c=9.8868 alpha=60.34 beta=89.99 gamma=89.98
With the nearest neighbours (Å) after each atom.
Fractional coordinates of all 59 atoms:
K (0.0000, 0.0000, 0.0000)  6 O 2.99-3.19
Mg (0.4142, 0.3383, 0.3140)  5 O 2.02-2.22
Mg (0.4143, 0.6702, 0.6589)  6 O 2.10-2.17
Mg (0.9162, 0.3385, 0.3132)  5 O 2.01-2.22
Mg (0.9155, 0.6704, 0.6588)  6 O 2.08-2.17
Al (0.1652, 0.1197, 0.2537)  4 O 1.75-1.76
Al (0.1650, 0.6341, 0.0977)  4 O 1.73-1.77
Al (0.4141, 0.5056, 0.4877)  4 O 1.77-1.78
Al (0.4153, 0.5008, 0.9931)  4 O 1.73-1.81
Al (0.4168, 0.0046, 0.4887)  4 O 1.73-1.80
Al (0.6648, 0.2613, 0.0994)  4 O 1.74-1.75
Al (0.9130, 0.0049, 0.4874)  4 O 1.73-1.80
Al (0.9146, 0.5011, 0.9928)  4 O 1.73-1.81
Al (0.9155, 0.5054, 0.4875)  4 O 1.77-1.78
Si (0.1634, 0.7393, 0.3694)  4 O 1.60-1.67
Si (0.1645, 0.2725, 0.6126)  4 O 1.63-1.65
Si (0.1639, 0.3822, 0.8773)  4 O 1.61-1.66
Si (0.1639, 0.9003, 0.7207)  4 O 1.60-1.66
Si (0.6650, 0.1065, 0.6238)  4 O 1.62-1.65
Si (0.6651, 0.3768, 0.7225)  4 O 1.58-1.66
Si (0.6647, 0.6280, 0.2560)  4 O 1.63-1.65
Si (0.6648, 0.7362, 0.8859)  4 O 1.64-1.65
Si (0.6651, 0.8878, 0.3699)  4 O 1.59-1.66
O (0.0153, 0.1462, 0.3411)  2 Al 1.73-1.75
O (0.0160, 0.5202, 0.1280)  2 Al 1.73-1.74
O (0.0215, 0.3486, 0.5082)  1 Si 1.65, 1 Al 1.77
O (0.0230, 0.4930, 0.8466)  1 Si 1.66, 1 Al 1.81
O (0.0229, 0.8699, 0.6411)  1 Si 1.65, 1 Al 1.78
O (0.0242, 0.6534, 0.4832)  1 Si 1.67, 1 Al 1.77
O (0.1580, 0.2340, 0.0498)  1 Si 1.61, 1 Al 1.76
O (0.1576, 0.7049, 0.2272)  1 Si 1.60, 1 Al 1.74
O (0.1582, 0.7932, 0.9059)  1 Si 1.60, 1 Al 1.77
O (0.1579, 0.9239, 0.3006)  1 Si 1.60, 1 Al 1.75
O (0.1607, 0.0838, 0.6845)  2 Si 1.63-1.66
O (0.1607, 0.3097, 0.7576)  2 Si 1.65-1.66
O (0.3047, 0.6551, 0.4803)  1 Si 1.67, 1 Al 1.78
O (0.3062, 0.4908, 0.8481)  1 Si 1.66, 1 Al 1.81
O (0.3062, 0.8698, 0.6427)  1 Si 1.66, 1 Al 1.79
O (0.3078, 0.3484, 0.5092)  1 Si 1.64, 1 Al 1.77
O (0.3131, 0.5196, 0.1282)  2 Al 1.73
O (0.3142, 0.1455, 0.3420)  2 Al 1.73-1.75
O (0.5193, 0.3508, 0.1284)  2 Al 1.73-1.74
O (0.5229, 0.5214, 0.3344)  1 Si 1.65, 1 Al 1.78
O (0.5228, 0.6599, 0.8540)  1 Si 1.65, 1 Al 1.81
O (0.5243, 0.1346, 0.5180)  1 Si 1.63, 1 Al 1.77
O (0.5242, 0.4873, 0.6404)  1 Si 1.66, 1 Al 1.77
O (0.5242, 0.8584, 0.4808)  1 Si 1.66, 1 Al 1.80
O (0.6666, 0.2329, 0.6838)  2 Si 1.62-1.64
O (0.6665, 0.7025, 0.0669)  2 Si 1.64-1.65
O (0.6665, 0.7673, 0.3003)  2 Si 1.63-1.64
O (0.6666, 0.9260, 0.7709)  2 Si 1.64-1.65
O (0.6683, 0.0613, 0.2273)  1 Si 1.59, 1 Al 1.74
O (0.6680, 0.3063, 0.9050)  1 Si 1.58, 1 Al 1.75
O (0.8053, 0.4875, 0.6397)  1 Si 1.66, 1 Al 1.77
O (0.8053, 0.8578, 0.4815)  1 Si 1.66, 1 Al 1.80
O (0.8057, 0.1342, 0.5182)  1 Si 1.63, 1 Al 1.77
O (0.8066, 0.5214, 0.3343)  1 Si 1.65, 1 Al 1.78
O (0.8066, 0.6598, 0.8541)  1 Si 1.65, 1 Al 1.81
O (0.8109, 0.3505, 0.1279)  2 Al 1.73-1.74

2.
KMg3AlSi3O12 after structural relaxation. Source: Materials Project, functional GGA-PBE.

Computed properties:
- total energy after the MP2020 corrections (eV/atom) = -7.229
- E_form (eV/atom) = -2.964
- SG = P1

Unit cell a=5.3792 b=5.4086 c=10.2644 alpha=84.68 beta=80.55 gamma=60.61
With the nearest neighbours (Å) after each atom.
Fractional coordinates of all 20 atoms:
K (0.0000, 0.0000, 0.0000)  12 O 3.02-3.34
Mg (0.1865, 0.6530, 0.4732)  6 O 2.01-2.24
Mg (0.5173, 0.9974, 0.4757)  6 O 2.03-2.20
Mg (0.8302, 0.3523, 0.4755)  6 O 2.02-2.17
Al (0.2622, 0.3283, 0.2046)  4 O 1.74-1.77
Si (0.4169, 0.3340, 0.7546)  4 O 1.62-1.67
Si (0.6001, 0.6658, 0.1993)  4 O 1.62-1.66
Si (0.7490, 0.6679, 0.7547)  4 O 1.62-1.67
O (0.0659, 0.5010, 0.8119)  2 Si 1.67
O (0.1276, 0.0065, 0.5630)  3 Mg 2.02-2.12
O (0.2119, 0.3294, 0.3797)  1 Al 1.77
O (0.4518, 0.5076, 0.1419)  1 Si 1.62, 1 Al 1.74
O (0.4578, 0.9891, 0.1403)  1 Si 1.63, 1 Al 1.74
O (0.4644, 0.3409, 0.5950)  1 Si 1.62
O (0.5539, 0.6647, 0.3633)  1 Si 1.66
O (0.5659, 0.4979, 0.8153)  2 Si 1.67
O (0.5658, 0.9993, 0.8121)  2 Si 1.67
O (0.7924, 0.6698, 0.5952)  1 Si 1.62
O (0.8848, 0.0010, 0.3907)  3 Mg 2.01-2.03
O (0.9387, 0.5053, 0.1385)  1 Si 1.62, 1 Al 1.74

3.
KMg8Al17Si19O72 after structural relaxation. Source: Materials Project, functional GGA-PBE.

Computed properties:
- total energy after the MP2020 corrections (eV/atom) = -7.866
- E_form (eV/atom) = -3.277
- SG = P1

Unit cell a=9.9801 b=10.0071 c=18.8571 alpha=90.01 beta=90.06 gamma=119.83
With the nearest neighbours (Å) after each atom.
Fractional coordinates of all 117 atoms:
K (0.0000, 0.0000, 0.0000)  4 O 2.86-3.16
Mg (0.3223, 0.6356, 0.9529)  5 O 2.00-2.22
Mg (0.3261, 0.6425, 0.2064)  6 O 2.11-2.26
Mg (0.3260, 0.6422, 0.7059)  6 O 2.10-2.27
Mg (0.3309, 0.6374, 0.4565)  5 O 2.06-2.20
Mg (0.6510, 0.2965, 0.7061)  5 O 2.03-2.25
Mg (0.6507, 0.2978, 0.2078)  5 O 2.03-2.23
Mg (0.6518, 0.3011, 0.4537)  5 O 2.01-2.22
Mg (0.6583, 0.3078, 0.9527)  6 O 2.05-2.28
Al (0.0965, 0.3483, 0.5798)  4 O 1.68-1.84
Al (0.0995, 0.3511, 0.0793)  4 O 1.70-1.84
Al (0.3553, 0.0773, 0.3306)  4 O 1.72-1.78
Al (0.3570, 0.0789, 0.8298)  4 O 1.72-1.78
Al (0.3636, 0.2374, 0.5804)  4 O 1.69-1.80
Al (0.3659, 0.2371, 0.0803)  4 O 1.69-1.79
Al (0.4893, 0.9763, 0.7056)  4 O 1.73-1.83
Al (0.4890, 0.9770, 0.2058)  4 O 1.74-1.83
Al (0.4930, 0.4647, 0.4563)  4 O 1.74-1.82
Al (0.4933, 0.4662, 0.9550)  4 O 1.74-1.81
Al (0.7224, 0.6098, 0.3321)  4 O 1.72-1.79
Al (0.7246, 0.0708, 0.5811)  4 O 1.68-1.80
Al (0.7246, 0.0729, 0.0813)  4 O 1.69-1.78
Al (0.7252, 0.6097, 0.8311)  4 O 1.72-1.79
Al (0.8873, 0.2458, 0.8291)  4 O 1.74-1.82
Al (0.8916, 0.2451, 0.3305)  4 O 1.73-1.81
Al (0.9936, 0.4769, 0.9552)  4 O 1.75-1.80
Si (0.0888, 0.7076, 0.3303)  4 O 1.58-1.69
Si (0.0934, 0.7085, 0.8298)  4 O 1.59-1.70
Si (0.2621, 0.8675, 0.0798)  4 O 1.59-1.69
Si (0.2629, 0.3526, 0.8302)  4 O 1.59-1.72
Si (0.2652, 0.3534, 0.3306)  4 O 1.59-1.72
Si (0.2648, 0.8705, 0.5805)  4 O 1.57-1.70
Si (0.4882, 0.9741, 0.4551)  4 O 1.61-1.69
Si (0.4885, 0.9747, 0.9550)  4 O 1.61-1.69
Si (0.4955, 0.4692, 0.7048)  4 O 1.62-1.68
Si (0.4960, 0.4710, 0.2052)  4 O 1.62-1.68
Si (0.6164, 0.8742, 0.8301)  4 O 1.59-1.72
Si (0.6156, 0.8753, 0.3305)  4 O 1.59-1.71
Si (0.6232, 0.6995, 0.5806)  4 O 1.58-1.69
Si (0.6231, 0.6996, 0.0807)  4 O 1.59-1.70
Si (0.8962, 0.6084, 0.0804)  4 O 1.61-1.66
Si (0.9004, 0.6145, 0.5793)  4 O 1.61-1.66
Si (0.9942, 0.4804, 0.2071)  4 O 1.63-1.67
Si (0.9945, 0.4802, 0.4559)  4 O 1.63-1.67
Si (0.9947, 0.4817, 0.7045)  4 O 1.63-1.67
O (0.0738, 0.7519, 0.0756)  2 Si 1.64-1.65
O (0.0782, 0.7510, 0.5764)  2 Si 1.61-1.64
O (0.0827, 0.2995, 0.8272)  1 Si 1.60, 1 Al 1.75
O (0.0859, 0.3032, 0.3261)  1 Si 1.60, 1 Al 1.73
O (0.1141, 0.6232, 0.4024)  2 Si 1.67-1.68
O (0.1182, 0.6255, 0.7561)  2 Si 1.66-1.70
O (0.1194, 0.6226, 0.2594)  2 Si 1.67-1.69
O (0.1220, 0.4656, 0.1591)  1 Si 1.63
O (0.1249, 0.4715, 0.6561)  1 Si 1.63, 1 Al 1.82
O (0.1281, 0.4767, 0.5043)  1 Si 1.63
O (0.1287, 0.6278, 0.8981)  1 Si 1.65, 1 Al 1.80
O (0.1397, 0.4838, 0.0096)  2 Al 1.75-1.77
O (0.2159, 0.8877, 0.8266)  1 Si 1.59, 1 Al 1.72
O (0.2201, 0.2774, 0.0781)  2 Al 1.69-1.70
O (0.2200, 0.8829, 0.3297)  1 Si 1.58, 1 Al 1.73
O (0.2370, 0.3029, 0.5789)  2 Al 1.68-1.69
O (0.2893, 0.0377, 0.0810)  1 Si 1.59, 1 Al 1.75
O (0.2959, 0.2125, 0.8355)  1 Si 1.59, 1 Al 1.73
O (0.2976, 0.0410, 0.5831)  1 Si 1.57, 1 Al 1.74
O (0.2984, 0.2138, 0.3340)  1 Si 1.59, 1 Al 1.72
O (0.3382, 0.8303, 0.1495)  1 Si 1.65, 1 Al 1.83
O (0.3401, 0.8291, 0.6490)  1 Si 1.65, 1 Al 1.83
O (0.3420, 0.8423, 0.5052)  2 Si 1.69-1.70
O (0.3420, 0.8434, 0.0055)  2 Si 1.69
O (0.3482, 0.4696, 0.8985)  1 Si 1.66, 1 Al 1.81
O (0.3487, 0.4699, 0.3992)  1 Si 1.66, 1 Al 1.82
O (0.3500, 0.4563, 0.7547)  2 Si 1.68-1.72
O (0.3517, 0.4587, 0.2553)  2 Si 1.68-1.72
O (0.4634, 0.0959, 0.9084)  1 Si 1.62, 1 Al 1.78
O (0.4658, 0.0967, 0.4078)  1 Si 1.62, 1 Al 1.78
O (0.4781, 0.1139, 0.2589)  2 Al 1.74
O (0.4779, 0.3254, 0.6583)  1 Si 1.62, 1 Al 1.80
O (0.4777, 0.3271, 0.1581)  1 Si 1.62, 1 Al 1.79
O (0.4809, 0.1148, 0.7589)  2 Al 1.73-1.75
O (0.4886, 0.3206, 0.0083)  2 Al 1.74-1.75
O (0.4908, 0.3204, 0.5091)  2 Al 1.74-1.75
O (0.4975, 0.8339, 0.7613)  1 Si 1.67, 1 Al 1.80
O (0.4979, 0.8354, 0.2612)  1 Si 1.67, 1 Al 1.80
O (0.5045, 0.8458, 0.4044)  2 Si 1.67-1.71
O (0.5068, 0.8477, 0.9045)  2 Si 1.67-1.72
O (0.5103, 0.6202, 0.5111)  1 Si 1.65, 1 Al 1.80
O (0.5125, 0.6200, 0.0116)  1 Si 1.64, 1 Al 1.80
O (0.5157, 0.6165, 0.1542)  2 Si 1.67-1.70
O (0.5167, 0.6154, 0.6540)  2 Si 1.67-1.69
O (0.6326, 0.0902, 0.0036)  1 Si 1.61, 1 Al 1.78
O (0.6336, 0.0910, 0.5024)  1 Si 1.61
O (0.6340, 0.1097, 0.6511)  2 Al 1.73-1.75
O (0.6369, 0.1118, 0.1523)  2 Al 1.74-1.75
O (0.6430, 0.4996, 0.2529)  1 Si 1.62, 1 Al 1.79
O (0.6439, 0.4820, 0.4026)  2 Al 1.74-1.75
O (0.6442, 0.5002, 0.7521)  1 Si 1.62, 1 Al 1.79
O (0.6445, 0.4847, 0.9022)  2 Al 1.74
O (0.6731, 0.7531, 0.3348)  1 Si 1.59, 1 Al 1.73
O (0.6748, 0.7525, 0.8361)  1 Si 1.59, 1 Al 1.74
O (0.6793, 0.8772, 0.5852)  1 Si 1.58, 1 Al 1.76
O (0.6862, 0.8803, 0.0834)  1 Si 1.59, 1 Al 1.77
O (0.7496, 0.0533, 0.3294)  1 Si 1.61, 1 Al 1.73
O (0.7542, 0.0499, 0.8276)  1 Si 1.61, 1 Al 1.74
O (0.7675, 0.6619, 0.5793)  2 Si 1.62-1.66
O (0.7733, 0.6711, 0.0826)  2 Si 1.63-1.66
O (0.8520, 0.3280, 0.9038)  2 Al 1.75
O (0.8611, 0.4986, 0.0122)  1 Si 1.61, 1 Al 1.80
O (0.8631, 0.3392, 0.2545)  1 Si 1.63, 1 Al 1.81
O (0.8643, 0.3388, 0.7509)  1 Si 1.63, 1 Al 1.82
O (0.8665, 0.3362, 0.4083)  1 Si 1.64, 1 Al 1.81
O (0.8749, 0.5086, 0.5074)  2 Si 1.66-1.67
O (0.8779, 0.5140, 0.6524)  2 Si 1.65-1.67
O (0.8790, 0.5161, 0.1562)  2 Si 1.66-1.67
O (0.9093, 0.2134, 0.5747)  2 Al 1.68
O (0.9156, 0.1991, 0.0713)  2 Al 1.69-1.71
O (0.9169, 0.6740, 0.3268)  1 Si 1.58, 1 Al 1.72
O (0.9204, 0.6759, 0.8295)  1 Si 1.59, 1 Al 1.72

4.
KNa6Al7Si9O32 after structural relaxation. Source: Materials Project, functional GGA-PBE.

Computed properties:
- total energy after the MP2020 corrections (eV/atom) = -7.312
- E_form (eV/atom) = -2.905
- SG = P1

Unit cell a=8.5295 b=10.1269 c=10.1462 alpha=119.67 beta=90.73 gamma=90.61
With the nearest neighbours (Å) after each atom.
Fractional coordinates of all 55 atoms:
K (0.0000, 0.0000, 0.0000)  9 O 3.04-3.34
Na (0.0197, 0.5681, 0.0324)  6 O 2.40-2.63
Na (0.0336, 0.4287, 0.4197)  4 O 2.32-2.45
Na (0.0407, 0.9640, 0.5382)  5 O 2.39-2.57
Na (0.5182, 0.9739, 0.4447)  4 O 2.39-2.64
Na (0.5320, 0.5691, 0.5470)  4 O 2.39-2.61
Na (0.5417, 0.4507, 0.0145)  6 O 2.48-2.76
Al (0.2201, 0.0972, 0.3388)  4 O 1.75-1.77
Al (0.2604, 0.6416, 0.3211)  4 O 1.72-1.82
Al (0.3363, 0.8944, 0.6707)  4 O 1.72-1.79
Al (0.6846, 0.3264, 0.6594)  3 O 1.76-1.77
Al (0.7144, 0.7601, 0.0812)  4 O 1.73-1.79
Al (0.7150, 0.3056, 0.2170)  4 O 1.74-1.78
Al (0.7158, 0.9067, 0.6676)  4 O 1.71-1.80
Si (0.2194, 0.6349, 0.7563)  4 O 1.60-1.66
Si (0.2208, 0.2283, 0.8863)  4 O 1.61-1.66
Si (0.3427, 0.7561, 0.0843)  4 O 1.61-1.68
Si (0.3532, 0.3093, 0.2212)  4 O 1.61-1.66
Si (0.3899, 0.3187, 0.6627)  3 O 1.64-1.68
Si (0.7782, 0.6583, 0.3292)  4 O 1.61-1.68
Si (0.8415, 0.1000, 0.3441)  4 O 1.63-1.65
Si (0.8483, 0.6443, 0.7521)  4 O 1.61-1.68
Si (0.8537, 0.2346, 0.8800)  4 O 1.62-1.68
O (0.0235, 0.0613, 0.3664)  1 Si 1.65, 1 Al 1.77
O (0.0345, 0.6064, 0.6940)  2 Si 1.66-1.68
O (0.0411, 0.2975, 0.9165)  2 Si 1.66-1.68
O (0.0624, 0.5599, 0.2811)  1 O 1.50
O (0.2070, 0.0462, 0.7803)  1 Si 1.61, 1 Al 1.79
O (0.2126, 0.7010, 0.9407)  2 Si 1.65-1.68
O (0.2179, 0.2302, 0.2735)  1 Si 1.63, 1 Al 1.77
O (0.2783, 0.8190, 0.4795)  2 Al 1.72-1.76
O (0.3041, 0.4691, 0.6661)  2 Si 1.64-1.68
O (0.3039, 0.6430, 0.1525)  1 Si 1.64, 1 Al 1.76
O (0.3077, 0.2810, 0.0498)  2 Si 1.63-1.66
O (0.3130, 0.7477, 0.7162)  1 Si 1.60, 1 Al 1.77
O (0.3142, 0.9316, 0.2073)  1 Si 1.61, 1 Al 1.75
O (0.3199, 0.1658, 0.5139)  1 Si 1.64, 1 Al 1.76
O (0.3226, 0.3181, 0.8173)  2 Si 1.64-1.68
O (0.3574, 0.4947, 0.3341)  1 Si 1.64, 1 Al 1.77
O (0.5189, 0.7195, 0.0175)  1 Si 1.63, 1 Al 1.75
O (0.5247, 0.2438, 0.2212)  1 Si 1.61, 1 Al 1.74
O (0.5256, 0.9647, 0.6998)  2 Al 1.71-1.72
O (0.7141, 0.8164, 0.4642)  1 Si 1.61, 1 Al 1.80
O (0.7148, 0.5072, 0.3296)  1 Si 1.62, 1 Al 1.78
O (0.7452, 0.4893, 0.6497)  1 Si 1.63, 1 Al 1.77
O (0.7464, 0.1573, 0.5017)  1 Si 1.64, 1 Al 1.76
O (0.7509, 0.6412, 0.1621)  1 Si 1.63, 1 Al 1.79
O (0.7543, 0.9491, 0.2090)  1 Si 1.63, 1 Al 1.73
O (0.7620, 0.3442, 0.8306)  1 Si 1.63, 1 Al 1.77
O (0.7785, 0.2542, 0.0346)  1 Si 1.62, 1 Al 1.75
O (0.7820, 0.7766, 0.7228)  1 Si 1.61, 1 Al 1.76
O (0.8493, 0.2331, 0.2963)  1 Si 1.64, 1 Al 1.75
O (0.8504, 0.6992, 0.9331)  1 Si 1.63, 1 Al 1.77
O (0.8569, 0.0573, 0.7473)  1 Si 1.63, 1 Al 1.77
O (0.9678, 0.6940, 0.3853)  1 O 1.50